[1]
## RbEu2Cl5 (PBE)

Data for a geometry-optimized RbEu2Cl5 structure.

Structure (extended XYZ):
```
32
Lattice="8.9964 0.0000 0.0000 0.0000 7.9780 0.0000 -0.0584 0.0000 12.8330" Properties=species:S:1:pos:R:3 pbc="T T T"
Rb 0.0176 0.2953 4.2252
Rb -0.0116 3.6937 10.6417
Rb 8.9495 4.2843 2.1913
Rb 8.9203 7.6827 8.6079
Eu 2.2659 4.5250 6.3392
Eu 2.2367 7.4420 12.7557
Eu 4.4823 4.1569 2.2841
Eu 4.4530 7.8101 8.7006
Eu 4.4849 0.1679 4.1325
Eu 4.4556 3.8211 10.5490
Eu 6.7012 0.5360 0.0773
Eu 6.6720 3.4530 6.4938
Cl 0.2898 1.2917 1.0808
Cl 0.2606 2.6973 7.4973
Cl 2.4749 5.5379 9.1483
Cl 2.5041 6.4291 2.7318
Cl 2.5668 1.3264 10.4923
Cl 2.5961 2.6626 4.0757
Cl 2.5567 4.4059 12.7833
Cl 2.5859 7.5611 6.3668
Cl 4.1341 1.2696 1.3128
Cl 4.1049 2.7195 7.7293
Cl 4.8331 5.2586 5.1037
Cl 4.8038 6.7085 11.5202
Cl 6.3520 0.4169 6.4662
Cl 6.3812 3.5721 0.0497
Cl 6.3418 5.3155 8.7573
Cl 6.3711 6.6516 2.3408
Cl 6.4338 1.5489 10.1013
Cl 6.4630 2.4401 3.6847
Cl 8.6773 5.2807 5.3357
Cl 8.6481 6.6863 11.7522
```

## Properties
Space group   P2_1/c (14)
Energy with MP2020 corrections   -6.516 eV/atom
Raw total energy   -196.22 eV/cell
Crystal system   monoclinic

=====

[2]
## ClF (PBE)

Data for a geometry-optimized ClF structure.

Structure (extended XYZ):
```
8
Lattice="6.5631 0.0000 0.0000 0.0000 3.7394 0.0000 -2.0452 0.0000 7.0479" Properties=species:S:1:pos:R:3 pbc="T T T"
Cl 0.4101 0.0378 2.0450
Cl -0.6125 1.8319 5.5689
Cl 5.1303 1.9075 1.4790
Cl 4.1077 3.7016 5.0029
F 0.6807 0.8210 5.9683
F 1.7034 1.0487 2.4443
F 2.8145 2.6907 4.6036
F 3.8371 2.9184 1.0796
```

## Properties
Space group   P2_1/c (14)
Energy with MP2020 corrections   -2.460 eV/atom
Raw total energy   -17.83 eV/cell
Crystal system   monoclinic

=====

[3]
## ClF5 (PBE)

Data for a geometry-optimized ClF5 structure.

Structure (extended XYZ):
```
12
Lattice="3.0778 -3.5965 0.0000 3.0778 3.5965 0.0000 0.0000 0.0000 7.6049" Properties=species:S:1:pos:R:3 pbc="T T T"
Cl 3.0778 2.3050 3.8025
Cl 3.0778 -2.3050 0.0000
F 3.0778 3.3828 5.1797
F 1.7111 1.3624 0.0376
F 3.0778 1.1241 2.5885
F 3.0778 1.0897 4.8929
F 1.7111 -1.3624 3.8401
F 4.4445 1.3624 0.0376
F 3.0778 -1.0897 1.0905
F 3.0778 -1.1241 6.3910
F 4.4445 -1.3624 3.8401
F 3.0778 -3.3828 1.3772
```

## Properties
Space group   Cmc2_1 (36)
Energy with MP2020 corrections   -2.867 eV/atom
Raw total energy   -29.79 eV/cell
Crystal system   orthorhombic

=====

> raw total energy of number 1 (RbEu2Cl5)?

-196.22 eV/cell

=====

> Number 3 is which compound?

ClF5